(1)
# GdBN2, optimized geometry, DFT r2SCAN
data_GdBN2
_space_group_name_H-M_alt 'R 3 c'
_space_group_IT_number 161
_space_group_name_Hall 'R 3 -2"c'
_cell_length_a 11.9076
_cell_length_b 11.9076
_cell_length_c 6.7403
_cell_angle_alpha 90.00
_cell_angle_beta 90.00
_cell_angle_gamma 120.00
loop_
_atom_site_label
_atom_site_type_symbol
_atom_site_fract_x
_atom_site_fract_y
_atom_site_fract_z
Gd1 Gd 0.0005 0.4540 0.0000
B1 B 0.0000 0.1212 0.0016
N1 N 0.0000 0.1246 0.5020
N2 N 0.0001 0.2442 0.0006
# E = -18.870 eV per atom

(2)
# SiTe2, optimized geometry, DFT r2SCAN
data_SiTe2
_space_group_name_H-M_alt 'P -3 m 1'
_space_group_IT_number 164
_space_group_name_Hall '-P 3 2"'
_cell_length_a 3.8005
_cell_length_b 3.8005
_cell_length_c 7.0791
_cell_angle_alpha 90.00
_cell_angle_beta 90.00
_cell_angle_gamma 120.00
loop_
_atom_site_label
_atom_site_type_symbol
_atom_site_fract_x
_atom_site_fract_y
_atom_site_fract_z
Si1 Si 0.0000 0.0000 0.0000
Te1 Te 0.3333 0.6667 0.7734
# E = -19.821 eV per atom

Question: The lowest E belongs to which entry?
Answer: SiTe2

Question: Look up the E of the second one.
Answer: -19.821 eV per atom

Question: Which formula does entry 2 have?
Answer: SiTe2